## FeF3 (r²SCAN)

Data for a relaxed FeF3 crystal.

Cell lengths 5.029, 5.029, 5.355 Å; angles 118.23, 118.23, 60.00 degrees
Sites, in units of the cell vectors:
Fe 0.000 0.500 0.000
Fe 0.500 0.000 0.500
F 0.123 0.877 0.250
F 0.254 0.372 0.754
F 0.372 0.254 0.254
F 0.628 0.746 0.746
F 0.746 0.628 0.246
F 0.877 0.123 0.750

Results
ΔE_f, meV per atom: -2547.0
Space-group type: C2/c
Total magnetization, μB per cell: 10.00